Record 1
DFT (PBE with a Hubbard U) results for a geometry-optimized LiMnO2 structure.

```
80
Lattice="2.8807 23.6206 0.0000 -2.8807 23.6206 0.0000 0.0000 0.7017 5.7186" Properties=species:S:1:pos:R:3 pbc="T T T"
O -1.3327 33.2153 0.2592
O 1.3211 14.5946 2.5250
O 0.0000 21.4477 0.3248
O 0.0000 45.0583 0.3244
O 0.0000 26.7838 5.2766
O -1.3211 14.5946 2.5250
O 0.0000 12.1106 1.5035
O 1.3330 33.5645 3.1178
O -1.5517 19.6061 4.7915
O 0.0000 17.1157 3.7640
O 1.3427 24.3009 4.2255
O -1.3203 14.9581 5.3832
O 0.0000 31.4318 4.9409
O 1.5362 28.5790 0.8218
O -1.3427 24.3009 4.2255
O 1.5517 19.6061 4.7915
O 0.0000 12.4372 4.1485
O 1.5508 19.2656 1.9314
O 0.0000 3.1715 5.2741
O -1.5362 28.5790 0.8218
O 0.0000 31.0576 1.8663
O 1.3432 23.9336 1.3676
O 0.0000 7.8220 4.9394
O 0.0000 40.3783 0.6878
O 0.0000 26.4606 2.6309
O 0.0000 7.4422 1.8654
O -1.5508 19.2656 1.9314
O 0.0000 2.8210 2.6320
O 0.0000 40.7227 3.7650
O 0.0000 45.3573 2.9729
O 0.0000 16.7393 0.6918
O -1.3330 33.5645 3.1178
O 0.0000 21.7797 2.9697
O 1.3327 33.2153 0.2592
O 0.0000 35.7263 1.5028
O -1.3432 23.9336 1.3676
O 0.0000 36.0366 4.1495
O -1.5364 28.9399 3.6781
O 1.3203 14.9581 5.3832
O 1.5364 28.9399 3.6781
Mn 0.0000 14.7486 3.9595
Mn -1.4314 17.2592 5.0902
Mn 0.0000 33.3691 1.6930
Mn -1.4354 21.5798 1.6521
Mn 1.4535 26.5929 3.9579
Mn 0.0000 42.6845 0.5071
Mn 0.0000 24.4436 5.6594
Mn 0.0000 43.0418 3.3621
Mn 0.0000 24.0859 2.8016
Mn -1.4469 30.8774 0.5460
Mn 0.0000 5.4655 5.1125
Mn 0.0000 14.4023 1.0964
Mn 1.4314 17.2592 5.0902
Mn 0.0000 33.7235 4.5477
Mn 1.4354 21.5798 1.6521
Mn 0.0000 5.1181 2.2520
Mn 1.4468 12.2496 2.8295
Mn -1.4535 26.5929 3.9579
Mn -1.4468 12.2496 2.8295
Mn 1.4469 30.8774 0.5460
Li 1.4072 12.5047 5.6976
Li 1.4714 16.8295 2.2344
Li 0.0000 0.4914 2.7862
Li -1.4253 21.8462 4.5151
Li 0.0000 9.6712 1.7255
Li 1.4253 21.8462 4.5151
Li -1.4714 16.8295 2.2344
Li -1.4287 31.1545 3.4151
Li 1.4287 31.1545 3.4151
Li 0.0000 19.3014 3.3470
Li 0.0000 29.0331 5.1334
Li 0.0000 18.9983 0.5284
Li 0.0000 28.6689 2.2460
Li 0.0000 0.7068 5.6335
Li 0.0000 37.8938 1.0726
Li 1.4355 26.1994 1.0984
Li 0.0000 38.3675 3.9573
Li 0.0000 10.0099 4.5403
Li -1.4072 12.5047 5.6976
Li -1.4355 26.1994 1.0984
```

Calculated values
ρ in g cm⁻³: 4.01
Formation energy from the elements in eV/f.u.: -8.574
MP2020-corrected energy in eV per atom: -7.3853


Record 2
DFT (PBE with a Hubbard U) results for a geometry-optimized TlCoF3 structure.

```
5
Lattice="4.2003 0.0000 0.0000 0.0000 4.2003 0.0000 0.0000 0.0000 4.2003" Properties=species:S:1:pos:R:3 pbc="T T T"
Co 2.1002 2.1002 2.1002
F 0.0000 2.1002 2.1002
F 2.1002 0.0000 2.1002
F 2.1002 2.1002 0.0000
Tl 0.0000 0.0000 0.0000
```

Calculated values
ρ in g cm⁻³: 7.18
Formation energy from the elements in eV/f.u.: -9.997
MP2020-corrected energy in eV per atom: -5.0423